[1]
! Ti3N2O3 | the Materials Project database | GGA-PBE | optimized geometry; values from VASP
&SYSTEM
  ibrav = 0, nat = 16, ntyp = 3
/
ATOMIC_SPECIES
Ti 47.87 Ti.upf
N 14.01 N.upf
O 16.00 O.upf
CELL_PARAMETERS angstrom
4.8826 -1.9290 0.0000
4.8826 1.9290 0.0000
-0.0901 0.0000 9.9100
ATOMIC_POSITIONS crystal
Ti 0.0000 0.0000 0.0000
Ti 0.9996 0.9996 0.3758
Ti 0.0544 0.0544 0.6836
Ti 0.6516 0.6516 0.1923
Ti 0.7114 0.7114 0.4903
Ti 0.7195 0.7195 0.8750
N 0.0892 0.0892 0.1800
N 0.1594 0.1594 0.8624
N 0.1629 0.1629 0.5127
N 0.5452 0.5452 0.3616
O 0.5385 0.5385 0.0049
O 0.6082 0.6082 0.6854
O 0.8062 0.8062 0.0501
O 0.8064 0.8064 0.3158
O 0.8964 0.8964 0.8123
O 0.8996 0.8996 0.5528
! volume: 186.67 Å³/cell
! energy relative to the elements: -2.59 eV/atom
! SG: Cm (8)

=====

[2]
! Na3ScNbSi2PO12 | the Materials Project database | GGA-PBE | optimized geometry; values from VASP
&SYSTEM
  ibrav = 0, nat = 240, ntyp = 6
/
ATOMIC_SPECIES
O 16.00 O.upf
Si 28.09 Si.upf
Nb 92.91 Nb.upf
Na 22.99 Na.upf
Sc 44.96 Sc.upf
P 30.97 P.upf
CELL_PARAMETERS angstrom
13.1507 0.0000 -8.7589
0.0000 27.3431 0.0000
-0.2059 0.0000 9.0168
ATOMIC_POSITIONS crystal
O 0.6463 0.0282 0.7471
O 0.2460 0.8876 0.2569
O 0.5399 0.9484 0.5588
O 0.5408 0.7196 0.0598
O 0.5378 0.3848 0.0575
O 0.9301 0.0471 0.2605
O 0.4299 0.7863 0.7620
O 0.9327 0.6162 0.7598
O 0.7457 0.7191 0.2515
O 0.1438 0.4515 0.9225
O 0.0378 0.8848 0.0575
O 0.0841 0.2861 0.7483
O 0.8512 0.1127 0.5851
O 0.7489 0.0486 0.2525
O 0.2457 0.7809 0.7515
O 0.9299 0.7137 0.2620
O 0.6466 0.6384 0.2461
O 0.9327 0.3838 0.2598
O 0.3472 0.9766 0.2519
O 0.2514 0.2721 0.7385
O 0.9301 0.9529 0.7605
O 0.4327 0.8838 0.2598
O 0.0648 0.0221 0.9144
O 0.1466 0.8616 0.7461
O 0.8541 0.5550 0.0866
O 0.1407 0.8814 0.4203
O 0.6386 0.7149 0.4145
O 0.9375 0.0169 0.5740
O 0.2543 0.6063 0.7511
O 0.5708 0.1474 0.4287
O 0.4299 0.2137 0.2620
O 0.5846 0.4545 0.7464
O 0.3432 0.2834 0.5653
O 0.7543 0.1063 0.7511
O 0.4609 0.6083 0.9396
O 0.5841 0.2139 0.2483
O 0.4327 0.1162 0.7598
O 0.0651 0.3113 0.4120
O 0.6438 0.9515 0.9225
O 0.4301 0.4529 0.7605
O 0.5378 0.6152 0.5575
O 0.9299 0.2863 0.7620
O 0.0841 0.7139 0.2483
O 0.2543 0.3937 0.2511
O 0.7460 0.3876 0.2569
O 0.0648 0.9779 0.4144
O 0.9382 0.6819 0.5704
O 0.2544 0.0625 0.2438
O 0.1453 0.8064 0.2452
O 0.5874 0.1228 0.7489
O 0.5708 0.8526 0.9287
O 0.4611 0.9409 0.9383
O 0.1438 0.5485 0.4225
O 0.5408 0.2804 0.5598
O 0.7460 0.6124 0.7569
O 0.1463 0.4718 0.2471
O 0.2460 0.1124 0.7569
O 0.3437 0.6905 0.7533
O 0.5874 0.8772 0.2489
O 0.7457 0.2809 0.7515
O 0.3512 0.6127 0.5851
O 0.8454 0.1436 0.2519
O 0.0408 0.2196 0.0598
O 0.2514 0.7279 0.2385
O 0.0846 0.0455 0.2464
O 0.5648 0.4779 0.4144
O 0.8472 0.4766 0.2519
O 0.1386 0.7851 0.9145
O 0.0846 0.9545 0.7464
O 0.5841 0.7861 0.7483
O 0.4600 0.2748 0.9285
O 0.0408 0.7804 0.5598
O 0.9609 0.1083 0.9396
O 0.4611 0.0591 0.4383
O 0.8512 0.8873 0.0851
O 0.6407 0.6186 0.9203
O 0.8541 0.4450 0.5866
O 0.7514 0.2279 0.2385
O 0.0378 0.1152 0.5575
O 0.6466 0.3616 0.7461
O 0.4426 0.1477 0.0879
O 0.8454 0.8564 0.7519
O 0.3432 0.7166 0.0653
O 0.1466 0.1384 0.2461
O 0.5651 0.8113 0.4120
O 0.3454 0.3564 0.7519
O 0.6453 0.3064 0.2452
O 0.2489 0.5486 0.2525
O 0.0708 0.3526 0.9287
O 0.6438 0.0485 0.4225
O 0.2457 0.2191 0.2515
O 0.8437 0.8095 0.2533
O 0.9426 0.6477 0.0879
O 0.5651 0.1887 0.9120
O 0.3512 0.3873 0.0851
O 0.5648 0.5221 0.9144
O 0.4609 0.3917 0.4396
O 0.7544 0.5625 0.2438
O 0.4426 0.8523 0.5879
O 0.6453 0.6936 0.7452
O 0.3437 0.3095 0.2533
O 0.1386 0.2149 0.4145
O 0.4375 0.4831 0.0740
O 0.2489 0.4514 0.7525
O 0.6386 0.2851 0.9145
O 0.7514 0.7721 0.7385
O 0.9426 0.3523 0.5879
O 0.9600 0.2252 0.4285
O 0.4600 0.7252 0.4285
O 0.7544 0.4375 0.7438
O 0.9600 0.7748 0.9285
O 0.6463 0.9718 0.2471
O 0.7543 0.8937 0.2511
O 0.4382 0.8181 0.0704
O 0.8432 0.7834 0.5653
O 0.0399 0.4484 0.5588
O 0.7489 0.9514 0.7525
O 0.3541 0.0550 0.0866
O 0.4382 0.1819 0.5704
O 0.0708 0.6474 0.4287
O 0.8437 0.1905 0.7533
O 0.4301 0.5471 0.2605
O 0.3541 0.9450 0.5866
O 0.0874 0.3772 0.2489
O 0.5399 0.0516 0.0588
O 0.8472 0.5234 0.7519
O 0.1453 0.1936 0.7452
O 0.1407 0.1186 0.9203
O 0.5846 0.5455 0.2464
O 0.0874 0.6228 0.7489
O 0.9611 0.4409 0.9383
O 0.4375 0.5169 0.5740
O 0.9609 0.8917 0.4396
O 0.1463 0.5282 0.7471
O 0.0399 0.5516 0.0588
O 0.2544 0.9375 0.7438
O 0.6407 0.3814 0.4203
O 0.8432 0.2166 0.0653
O 0.3472 0.0234 0.7519
O 0.0651 0.6887 0.9120
O 0.9375 0.9831 0.0740
O 0.9611 0.5591 0.4383
O 0.9382 0.3181 0.0704
O 0.3454 0.6436 0.2519
Si 0.8496 0.2030 0.2466
Si 0.3517 0.3688 0.2547
Si 0.6454 0.3008 0.7399
Si 0.1455 0.4661 0.7386
Si 0.1452 0.1318 0.7389
Si 0.1452 0.8682 0.2389
Si 0.6452 0.6318 0.7389
Si 0.8496 0.7970 0.7466
Si 0.6452 0.3682 0.2389
Si 0.1454 0.8008 0.7399
Si 0.6455 0.0339 0.2386
Si 0.1455 0.5339 0.2386
Si 0.3496 0.7030 0.2466
Si 0.3504 0.9647 0.7497
Si 0.3496 0.2970 0.7466
Si 0.1454 0.1992 0.2399
Si 0.3517 0.6312 0.7547
Si 0.8517 0.8688 0.2547
Si 0.8517 0.1312 0.7547
Si 0.8504 0.4647 0.7497
Si 0.3504 0.0353 0.2497
Si 0.6455 0.9661 0.7386
Si 0.8504 0.5353 0.2497
Si 0.6454 0.6992 0.2399
Nb 0.6060 0.5831 0.0663
Nb 0.6076 0.2524 0.0684
Nb 0.1060 0.0831 0.0663
Nb 0.6060 0.4169 0.5663
Nb 0.6042 0.9177 0.0659
Nb 0.1060 0.9169 0.5663
Nb 0.6042 0.0823 0.5659
Nb 0.6076 0.7476 0.5684
Nb 0.1042 0.4177 0.0659
Nb 0.1042 0.5823 0.5659
Nb 0.1076 0.2476 0.5684
Nb 0.1076 0.7524 0.0684
Na 0.4944 0.0326 0.7508
Na 0.1935 0.3072 0.2923
Na 0.2501 0.9182 0.0192
Na 0.3164 0.4779 0.2063
Na 0.7481 0.9128 0.5180
Na 0.9944 0.5326 0.7508
Na 0.3176 0.1437 0.2015
Na 0.9938 0.1991 0.7457
Na 0.8164 0.0221 0.7063
Na 0.2545 0.2548 0.0083
Na 0.6935 0.8072 0.2923
Na 0.9944 0.4674 0.2508
Na 0.2545 0.7452 0.5083
Na 0.9938 0.8009 0.2457
Na 0.4938 0.3009 0.2457
Na 0.9964 0.8664 0.7561
Na 0.3164 0.5221 0.7063
Na 0.4964 0.3664 0.7561
Na 0.7501 0.5818 0.5192
Na 0.7481 0.0872 0.0180
Na 0.3176 0.8563 0.7015
Na 0.4964 0.6336 0.2561
Na 0.2501 0.0818 0.5192
Na 0.7545 0.2452 0.5083
Na 0.8164 0.9779 0.2063
Na 0.2481 0.5872 0.0180
Na 0.8176 0.3563 0.7015
Na 0.7501 0.4182 0.0192
Na 0.4938 0.6991 0.7457
Na 0.2481 0.4128 0.5180
Na 0.9964 0.1336 0.2561
Na 0.8176 0.6437 0.2015
Na 0.4944 0.9674 0.2508
Na 0.6935 0.1928 0.7923
Na 0.7545 0.7548 0.0083
Na 0.1935 0.6928 0.7923
Sc 0.3931 0.9168 0.4322
Sc 0.3938 0.4145 0.9348
Sc 0.8979 0.7495 0.4404
Sc 0.8938 0.0855 0.4348
Sc 0.8938 0.9145 0.9348
Sc 0.3979 0.2495 0.4404
Sc 0.3931 0.0832 0.9322
Sc 0.3979 0.7505 0.9404
Sc 0.8979 0.2505 0.9404
Sc 0.3938 0.5855 0.4348
Sc 0.8931 0.4168 0.4322
Sc 0.8931 0.5832 0.9322
P 0.5007 0.8471 0.2471
P 0.5060 0.8196 0.7524
P 0.0007 0.3471 0.2471
P 0.5060 0.1804 0.2524
P 0.5031 0.4866 0.7460
P 0.0031 0.0134 0.2460
P 0.0060 0.6804 0.2524
P 0.5007 0.1529 0.7471
P 0.0031 0.9866 0.7460
P 0.0060 0.3196 0.7524
P 0.5031 0.5134 0.2460
P 0.0007 0.6529 0.7471
! volume: 3192.98 Å³/cell
! energy relative to the elements: -3.00 eV/atom

=====

[3]
! Mg2AlV3S8 | the Materials Project database | GGA-PBE | optimized geometry; values from VASP
&SYSTEM
  ibrav = 0, nat = 14, ntyp = 4
/
ATOMIC_SPECIES
Mg 24.30 Mg.upf
Al 26.98 Al.upf
V 50.94 V.upf
S 32.06 S.upf
CELL_PARAMETERS angstrom
6.2292 -3.5993 0.0000
6.2292 3.5993 0.0000
-4.1493 0.0000 6.0122
ATOMIC_POSITIONS crystal
Mg 0.1247 0.1247 0.3741
Mg 0.8753 0.8753 0.6259
Al 0.5000 0.5000 0.5000
V 0.0000 0.5000 0.0000
V 0.5000 0.0000 0.0000
V 0.5000 0.5000 0.0000
S 0.2613 0.2613 0.7839
S 0.2640 0.2640 0.2425
S 0.2642 0.7146 0.2426
S 0.2854 0.7358 0.7574
S 0.7146 0.2642 0.2426
S 0.7358 0.2854 0.7574
S 0.7360 0.7360 0.7575
S 0.7387 0.7387 0.2161
! volume: 269.59 Å³/cell
! energy relative to the elements: -1.31 eV/atom
! SG: C2/m (12)

=====

[4]
! Ce2Nd2O7 | the Materials Project database | GGA-PBE | optimized geometry; values from VASP
&SYSTEM
  ibrav = 0, nat = 22, ntyp = 3
/
ATOMIC_SPECIES
Ce 140.12 Ce.upf
Nd 144.24 Nd.upf
O 16.00 O.upf
CELL_PARAMETERS angstrom
7.9655 0.0000 0.0000
0.0000 3.8079 0.0000
0.0000 0.0000 11.2277
ATOMIC_POSITIONS crystal
Ce 0.0000 0.0000 0.0000
Ce 0.2500 0.5000 0.2492
Ce 0.5000 0.0000 0.0000
Ce 0.7500 0.5000 0.7508
Nd 0.0000 0.0000 0.5000
Nd 0.2500 0.5000 0.7722
Nd 0.5000 0.0000 0.5000
Nd 0.7500 0.5000 0.2278
O 0.0156 0.5000 0.1188
O 0.0412 0.5000 0.6284
O 0.2500 0.0000 0.1339
O 0.2500 0.0000 0.3814
O 0.2500 0.0000 0.8843
O 0.4588 0.5000 0.6284
O 0.4844 0.5000 0.1188
O 0.5156 0.5000 0.8812
O 0.5412 0.5000 0.3716
O 0.7500 0.0000 0.1157
O 0.7500 0.0000 0.6186
O 0.7500 0.0000 0.8661
O 0.9588 0.5000 0.3716
O 0.9844 0.5000 0.8812
! volume: 340.56 Å³/cell
! energy relative to the elements: -3.78 eV/atom
! SG: Pmma (51)

=====

no.,final energy (eV per formula unit)
1,-73.82
2,-147.71
3,-81.65
4,-92.86